# GGA-PBE Ag2TeO3, optimized geometry
# MP2020-corrected energy, eV/cell: -116.44
# E_form, eV per formula unit: -5.5
# Size of the total moment, μB per formula unit: 0.00
data_Ag2TeO3
_chemical_formula_sum 'Ag8 Te4 O12'
_cell_length_a 4.9753
_cell_length_b 10.7734
_cell_length_c 7.2845
_cell_angle_alpha 90.00
_cell_angle_beta 91.36
_cell_angle_gamma 90.00
_space_group_name_H-M_alt 'P 1 21/c 1'
_space_group_IT_number 14
loop_
_space_group_symop_operation_xyz
'x,y,z'
'-x,-y,-z'
'-x,y+1/2,-z+1/2'
'x,-y+1/2,z+1/2'
loop_
_atom_site_label
_atom_site_type_symbol
_atom_site_fract_x
_atom_site_fract_y
_atom_site_fract_z
_atom_site_occupancy
Ag1 Ag 0.2485 0.0735 0.3872 1
Ag2 Ag 0.2519 0.7389 0.3661 1
Te1 Te 0.2448 0.1017 0.8660 1
O1 O 0.1392 0.6137 0.6200 1
O2 O 0.2522 0.5219 0.1782 1
O3 O 0.2812 0.2431 0.7084 1



# GGA-PBE Ag2Te2O7, optimized geometry
# MP2020-corrected energy, eV/cell: -234.84
# E_form, eV per formula unit: -12.1
data_Ag2Te2O7
_chemical_formula_sum 'Ag8 Te8 O28'
_cell_length_a 7.4168
_cell_length_b 10.3885
_cell_length_c 7.6893
_cell_angle_alpha 90.00
_cell_angle_beta 90.00
_cell_angle_gamma 90.00
_space_group_name_H-M_alt 'I m m a'
_space_group_IT_number 74
_space_group_name_Hall '-I 2b 2'
loop_
_atom_site_label
_atom_site_type_symbol
_atom_site_fract_x
_atom_site_fract_y
_atom_site_fract_z
_atom_site_occupancy
Ag1 Ag 0.0000 0.0000 0.0000 1
Ag2 Ag 0.2500 0.2500 0.2500 1
Te1 Te 0.0000 0.0000 0.5000 1
Te2 Te 0.2500 0.2500 0.7500 1
O1 O 0.0000 0.0858 0.2806 1
O2 O 0.0000 0.2500 0.8409 1
O3 O 0.2041 0.1197 0.5711 1



# GGA-PBE Ag2Te4O11, optimized geometry
# MP2020-corrected energy, eV/cell: -187.65
# E_form, eV per formula unit: -21.2
data_Ag2Te4O11
_chemical_formula_sum 'Ag4 Te8 O22'
_cell_length_a 7.3937
_cell_length_b 7.5251
_cell_length_c 9.8588
_cell_angle_alpha 80.36
_cell_angle_beta 85.85
_cell_angle_gamma 60.60
_space_group_name_H-M_alt 'P -1'
_space_group_IT_number 2
loop_
_space_group_symop_operation_xyz
'x,y,z'
'-x,-y,-z'
loop_
_atom_site_label
_atom_site_type_symbol
_atom_site_fract_x
_atom_site_fract_y
_atom_site_fract_z
_atom_site_occupancy
Ag1 Ag 0.0077 0.2229 0.0138 1
Ag2 Ag 0.3150 0.6809 0.6487 1
Te1 Te 0.1838 0.8133 0.3245 1
Te2 Te 0.1986 0.3087 0.3113 1
Te3 Te 0.2993 0.1949 0.6868 1
Te4 Te 0.4840 0.2886 0.9989 1
O1 O 0.0875 0.1334 0.2730 1
O2 O 0.0985 0.1092 0.7617 1
O3 O 0.1008 0.4958 0.6653 1
O4 O 0.1944 0.4039 0.1149 1
O5 O 0.2110 0.1789 0.5057 1
O6 O 0.2547 0.8103 0.1331 1
O7 O 0.2895 0.4924 0.3567 1
O8 O 0.3444 0.1896 0.8821 1
O9 O 0.3612 0.5634 0.8992 1
O10 O 0.4930 0.7300 0.3796 1
O11 O 0.4974 0.8922 0.7061 1



# GGA-PBE Ti4Ag2O9, optimized geometry
# MP2020-corrected energy, eV/cell: -497.14
# E_form, eV per formula unit: -42.5
# Size of the total moment, μB per formula unit: 0.00
data_Ti4Ag2O9
_chemical_formula_sum 'Ti16 Ag8 O36'
_cell_length_a 17.5857
_cell_length_b 3.7460
_cell_length_c 12.2012
_cell_angle_alpha 90.00
_cell_angle_beta 108.15
_cell_angle_gamma 90.00
_space_group_name_H-M_alt 'C 1 2/m 1'
_space_group_IT_number 12
loop_
_space_group_symop_operation_xyz
'x,y,z'
'-x,-y,-z'
'-x,y,-z'
'x,-y,z'
'x+1/2,y+1/2,z'
'-x+1/2,-y+1/2,-z'
'-x+1/2,y+1/2,-z'
'x+1/2,-y+1/2,z'
loop_
_atom_site_label
_atom_site_type_symbol
_atom_site_fract_x
_atom_site_fract_y
_atom_site_fract_z
_atom_site_occupancy
Ti1 Ti 0.1133 0.0000 0.3638 1
Ti2 Ti 0.1519 0.0000 0.1217 1
Ti3 Ti 0.1990 0.0000 0.8937 1
Ti4 Ti 0.2452 0.0000 0.6646 1
Ag1 Ag 0.0225 0.5000 0.8616 1
Ag2 Ag 0.0613 0.5000 0.6303 1
O1 O 0.0182 0.0000 0.3798 1
O2 O 0.0679 0.0000 0.1753 1
O3 O 0.1118 0.0000 0.9541 1
O4 O 0.1432 0.5000 0.3523 1
O5 O 0.1579 0.0000 0.7378 1
O6 O 0.1804 0.0000 0.5234 1
O7 O 0.1854 0.5000 0.1364 1
O8 O 0.2271 0.0000 0.2956 1
O9 O 0.2300 0.5000 0.9216 1



# GGA-PBE TiAg2O3, optimized geometry
# MP2020-corrected energy, eV/cell: -317.26
# E_form, eV per formula unit: -11.3
# Size of the total moment, μB per formula unit: 0.00
data_TiAg2O3
_chemical_formula_sum 'Ti8 Ag16 O24'
_cell_length_a 17.2973
_cell_length_b 7.9362
_cell_length_c 5.0514
_cell_angle_alpha 90.00
_cell_angle_beta 105.74
_cell_angle_gamma 90.00
_space_group_name_H-M_alt 'C 1 2/c 1'
_space_group_IT_number 15
loop_
_space_group_symop_operation_xyz
'x,y,z'
'-x,-y,-z'
'-x,y,-z+1/2'
'x,-y,z+1/2'
'x+1/2,y+1/2,z'
'-x+1/2,-y+1/2,-z'
'-x+1/2,y+1/2,-z+1/2'
'x+1/2,-y+1/2,z+1/2'
loop_
_atom_site_label
_atom_site_type_symbol
_atom_site_fract_x
_atom_site_fract_y
_atom_site_fract_z
_atom_site_occupancy
Ti1 Ti 0.0770 0.1205 0.1179 1
Ag1 Ag 0.0947 0.4068 0.5762 1
Ag2 Ag 0.2478 0.3746 0.2687 1
O1 O 0.0000 0.0705 0.7500 1
O2 O 0.0000 0.2599 0.2500 1
O3 O 0.1315 0.3046 0.0321 1
O4 O 0.1365 0.0643 0.4864 1



# GGA-PBE TlAgO2, optimized geometry
# MP2020-corrected energy, eV/cell: -36.76
# E_form, eV per formula unit: -3.3
data_TlAgO2
_chemical_formula_sum 'Tl2 Ag2 O4'
_cell_length_a 3.4904
_cell_length_b 3.4904
_cell_length_c 12.9625
_cell_angle_alpha 90.00
_cell_angle_beta 90.00
_cell_angle_gamma 120.00
_space_group_name_H-M_alt 'P 63/m m c'
_space_group_IT_number 194
_space_group_name_Hall '-P 6c 2c'
loop_
_atom_site_label
_atom_site_type_symbol
_atom_site_fract_x
_atom_site_fract_y
_atom_site_fract_z
_atom_site_occupancy
Tl1 Tl 0.0000 0.0000 0.0000 1
Ag1 Ag 0.3333 0.6667 0.2500 1
O1 O 0.3333 0.6667 0.0878 1